Entry 1:
Entry from the Materials Project database: CaV2P3HO12 after structural relaxation (PBE with a Hubbard U).

Cell lengths 6.4797, 20.3113, 9.0875 Å; angles 90.00, 134.08, 90.00 degrees
Closest atoms and distances in Å follow each position.
Space group P2_1/c (No. 14)
Unique sites:
Ca 0.2053 0.0791 0.0594 x4  8 O 2.41-2.69, 1 H 2.67
V 0.3275 0.0970 0.7324 x4  6 O 2.01-2.19
V 0.3490 0.7107 0.4139 x4  6 O 1.96-2.14
P 0.1423 0.2480 0.0808 x4  4 O 1.53-1.59
P 0.1636 0.5505 0.2815 x4  4 O 1.53-1.59
P 0.2988 0.6219 0.8829 x4  4 O 1.50-1.61
H 0.3410 0.0563 0.4070 x4  1 O 1.00
O 0.0102 0.1059 0.7238 x4  1 P 1.53
O 0.0123 0.7029 0.3844 x4  1 P 1.54
O 0.0402 0.5218 0.3643 x4  1 P 1.54
O 0.0753 0.7113 0.1142 x4  1 P 1.53
O 0.0836 0.0797 0.4313 x4  1 P 1.53
O 0.3213 0.6001 0.7307 x4  1 P 1.55
O 0.3239 0.2010 0.0728 x4  1 P 1.55
O 0.3439 0.5012 0.2782 x4  1 P 1.55
O 0.3496 0.2001 0.7611 x4  1 P 1.59
O 0.3916 0.6913 0.9585 x4  1 P 1.50
O 0.3925 0.6059 0.4367 x4  1 P 1.59
O 0.4981 0.5726 0.0758 x4  1 H 1.00

***

Entry 2:
Entry from the Materials Project database: CaVSi4H6O15 after structural relaxation (PBE with a Hubbard U).

Cell lengths 14.2967, 10.4272, 9.0037 Å; angles 90.00, 90.00, 90.00 degrees
Closest atoms and distances in Å follow each position.
Space group Cmc2_1 (No. 36)
Unique sites:
Ca 0.0000 0.2468 0.0000 x4  5 O 2.28-2.48
V 0.0000 0.0463 0.3323 x4  1 O 1.61
Si 0.2048 0.1007 0.8686 x8  4 O 1.62-1.64
Si 0.2050 0.1524 0.2121 x8  4 O 1.62-1.65
H 0.0000 0.3421 0.4332 x4  1 O 0.97
H 0.0000 0.3557 0.6422 x4  2 O 1.14-1.27
H 0.0736 0.4886 0.0185 x8  1 O 1.04
H 0.1639 0.4142 0.9626 x8  1 O 0.98
O 0.0000 0.1092 0.4955 x4  1 V 1.61
O 0.0000 0.3298 0.7657 x4  1 H 1.14
O 0.0000 0.4048 0.5129 x4  1 H 0.97
O 0.0903 0.1456 0.2226 x8  1 Si 1.64
O 0.0909 0.0872 0.8559 x8  1 Si 1.64
O 0.1115 0.4047 0.0320 x8  2 H 0.98-1.04
O 0.2347 0.1299 0.0395 x8  2 Si 1.63
O 0.2471 0.2149 0.7667 x8  2 Si 1.62
O 0.2490 0.0378 0.3173 x8  2 Si 1.64-1.65

***

Entry 3:
Entry from the Materials Project database: Ca3HoMn4O12 after structural relaxation (PBE with a Hubbard U).

Cell lengths 5.3474, 7.5789, 5.4676 Å; angles 90.00, 90.02, 90.00 degrees
Closest atoms and distances in Å follow each position.
Space group Pm (No. 6)
Unique sites:
Ca 0.0000 0.0000 0.0000 x1  4 O 2.32-2.39
Ca 0.0189 0.5000 0.9034 x1  6 O 2.33-2.57
Ca 0.5190 0.0000 0.4975 x1  4 O 2.33-2.41
Ho 0.4971 0.5000 0.3918 x1  8 O 2.28-2.55
Mn 0.0080 0.2491 0.4534 x2  6 O 1.94-1.99
Mn 0.5118 0.2489 0.9487 x2  6 O 1.94-1.99
O 0.0890 0.0000 0.4280 x1  2 Mn 1.94
O 0.2237 0.3003 0.1679 x2  2 Mn 1.98-1.99
O 0.3096 0.2990 0.6546 x2  2 Mn 1.97-1.99
O 0.4278 0.0000 0.9292 x1  2 Mn 1.94
O 0.5908 0.5000 0.9797 x1  2 Mn 1.96
O 0.7093 0.2156 0.2509 x2  2 Mn 1.96-1.98
O 0.8088 0.2096 0.7489 x2  2 Mn 1.95-1.96
O 0.9158 0.5000 0.4729 x1  2 Mn 1.97

***

Entry 4:
Entry from the Materials Project database: Ca2HoMn3O9 after structural relaxation (PBE with a Hubbard U).

Cell lengths 7.6290, 9.2630, 10.7804 Å; angles 73.43, 88.98, 66.34 degrees
Closest atoms and distances in Å follow each position.
Space group P-1 (No. 2)
Unique sites:
Ca 0.0539 0.3514 0.3971 x2  5 O 2.31-2.55
Ca 0.2134 0.0131 0.7362 x2  6 O 2.31-2.58
Ca 0.2783 0.9797 0.2703 x2  5 O 2.33-2.55
Ca 0.3858 0.6877 0.0635 x2  6 O 2.32-2.59
Ho 0.1275 0.3176 0.9314 x2  6 O 2.27-2.44
Ho 0.4606 0.6529 0.5974 x2  6 O 2.27-2.44
Mn 0.0000 0.0000 0.0000 x1  6 O 1.96-1.98
Mn 0.0000 0.0000 0.5000 x1  6 O 1.95-1.98
Mn 0.1640 0.6692 0.3325 x2  6 O 1.93-1.99
Mn 0.1669 0.6674 0.8319 x2  6 O 1.95-1.99
Mn 0.3327 0.3333 0.6657 x2  6 O 1.93-1.98
Mn 0.3338 0.3343 0.1665 x2  6 O 1.95-1.99
Mn 0.5000 0.0000 0.0000 x1  6 O 1.96-1.98
Mn 0.5000 0.0000 0.5000 x1  6 O 1.95-1.98
O 0.0236 0.8590 0.6810 x2  2 Mn 1.96-1.98
O 0.0379 0.8136 0.4357 x2  2 Mn 1.93-1.95
O 0.0515 0.3994 0.1465 x2  2 Mn 1.99
O 0.0648 0.7935 0.9550 x2  2 Mn 1.96-1.97
O 0.0804 0.3381 0.7155 x2  2 Mn 1.98
O 0.1156 0.8602 0.1796 x2  2 Mn 1.95-1.98
O 0.2297 0.4666 0.4835 x2  2 Mn 1.97-1.99
O 0.2487 0.0046 0.9550 x2  2 Mn 1.96-1.97
O 0.2700 0.5387 0.7105 x2  2 Mn 1.96-1.97
O 0.2818 0.9339 0.5147 x2  2 Mn 1.98
O 0.3001 0.5176 0.2328 x2  2 Mn 1.95-1.96
O 0.3019 0.4674 0.9820 x2  2 Mn 1.98
O 0.3652 0.1994 0.3495 x2  2 Mn 1.97-1.98
O 0.3665 0.1502 0.1011 x2  2 Mn 1.95-1.96
O 0.3878 0.7248 0.8164 x2  2 Mn 1.95-1.97
O 0.4028 0.1325 0.6183 x2  2 Mn 1.93-1.95
O 0.4186 0.6602 0.3839 x2  2 Mn 1.98-1.99
O 0.4342 0.2013 0.8487 x2  2 Mn 1.98

***

Entry 5:
Entry from the Materials Project database: CaHoMn2O6 after structural relaxation (PBE with a Hubbard U).

Cell lengths 7.6035, 5.5224, 5.3213 Å; angles 90.00, 90.00, 90.00 degrees
Closest atoms and distances in Å follow each position.
Space group Pmn2_1 (No. 31)
Unique sites:
Ca 0.0000 0.1974 0.0000 x2  6 O 2.32-2.57
Ho 0.0000 0.6851 0.5299 x2  6 O 2.26-2.45
Mn 0.2500 0.2461 0.5125 x4  6 O 1.96-2.00
O 0.0000 0.2813 0.4281 x2  2 Mn 1.96
O 0.0000 0.7746 0.1154 x2  2 Mn 1.98
O 0.1988 0.9473 0.7084 x4  2 Mn 1.98-1.99
O 0.2026 0.4615 0.8022 x4  2 Mn 1.98-2.00

***

Entry 6:
Entry from the Materials Project database: CaHoMo2O6 after structural relaxation (PBE with a Hubbard U).

Cell lengths 5.4792, 5.7915, 9.6691 Å; angles 90.00, 123.94, 90.00 degrees
Closest atoms and distances in Å follow each position.
Space group Pc (No. 7)
Unique sites:
Ca 0.0000 0.1955 0.0000 x2  4 O 2.29-2.42
Ho 0.4622 0.3152 0.4982 x2  4 O 2.23-2.28
Mo 0.2355 0.2472 0.7497 x2  6 O 2.04-2.13
Mo 0.7360 0.2481 0.2493 x2  6 O 2.15-2.18
O 0.0064 0.4494 0.8127 x2  2 Mo 2.04-2.15
O 0.1245 0.0596 0.3116 x2  2 Mo 2.07-2.16, 1 Ho 2.27
O 0.3637 0.4601 0.1833 x2  2 Mo 2.07-2.15
O 0.4805 0.0655 0.6844 x2  2 Mo 2.06-2.16, 1 Ho 2.27
O 0.5964 0.3123 0.9952 x2  2 Mo 2.11-2.16, 1 Ho 2.28, 1 Ca 2.29
O 0.8566 0.1984 0.5041 x2  2 Mo 2.13-2.18, 1 Ho 2.23

***

Entry 7:
Entry from the Materials Project database: CaHoV2O6 after structural relaxation (PBE with a Hubbard U).

Cell lengths 5.3499, 5.5810, 9.2720 Å; angles 90.00, 124.49, 90.00 degrees
Closest atoms and distances in Å follow each position.
Space group Pc (No. 7)
Unique sites:
Ca 0.0000 0.1968 0.0000 x2  6 O 2.33-2.59
Ho 0.4619 0.3163 0.4973 x2  6 O 2.26-2.45
V 0.2338 0.2462 0.7484 x2  6 O 2.01-2.09
V 0.7361 0.2465 0.2484 x2  6 O 1.89-2.01
O 0.0931 0.0569 0.3014 x2  2 V 1.99-2.02
O 0.3922 0.4592 0.1988 x2  2 V 2.01-2.02
O 0.4898 0.0538 0.6928 x2  2 V 2.01-2.02
O 0.5845 0.2843 0.0096 x2  2 V 1.89-2.07
O 0.8619 0.2201 0.4871 x2  2 V 1.92-2.09
O 0.9929 0.4609 0.8007 x2  2 V 2.01

***

Entry 8:
Entry from the Materials Project database: KCaInWO6 after structural relaxation (PBE with a Hubbard U).

Cell lengths 8.1770, 8.1770, 8.1770 Å; angles 90.00, 90.00, 90.00 degrees
Closest atoms and distances in Å follow each position.
Space group F-43m (No. 216)
Unique sites:
K 0.0000 0.0000 0.0000 x4  12 O 2.89
Ca 0.0000 0.0000 0.5000 x4  12 O 2.89
In 0.2500 0.2500 0.2500 x4  6 O 2.15
W 0.2500 0.2500 0.7500 x4  6 O 1.94
O 0.0124 0.2500 0.7500 x24  1 W 1.94, 1 In 2.15

***

Entry 9:
Entry from the Materials Project database: NaCaInWO6 after structural relaxation (PBE with a Hubbard U).

Cell lengths 8.1083, 8.1083, 8.1083 Å; angles 90.00, 90.00, 90.00 degrees
Closest atoms and distances in Å follow each position.
Space group F-43m (No. 216)
Unique sites:
Na 0.0000 0.0000 0.0000 x4  12 O 2.87
Ca 0.0000 0.0000 0.5000 x4  12 O 2.87
In 0.2500 0.2500 0.7500 x4  6 O 2.12
W 0.2500 0.2500 0.2500 x4  6 O 1.94
O 0.0111 0.2500 0.2500 x24  1 W 1.94, 1 In 2.12

***

Entry 10:
Entry from the Materials Project database: SrCaVInO6 after structural relaxation (PBE with a Hubbard U).

Cell lengths 8.0182, 8.0182, 8.0182 Å; angles 90.00, 90.00, 90.00 degrees
Closest atoms and distances in Å follow each position.
Space group F-43m (No. 216)
Unique sites:
Sr 0.0000 0.0000 0.0000 x4  12 O 2.84
Ca 0.0000 0.0000 0.5000 x4  12 O 2.84
V 0.2500 0.2500 0.2500 x4  6 O 1.89
In 0.2500 0.2500 0.7500 x4  6 O 2.12
O 0.0146 0.2500 0.2500 x24  1 V 1.89

***

Entry 11:
Entry from the Materials Project database: Ca3LaMn2Ir2O12 after structural relaxation (PBE with a Hubbard U).

Cell lengths 5.5311, 5.6885, 7.8605 Å; angles 89.87, 89.93, 89.93 degrees
Closest atoms and distances in Å follow each position.
Space group P1 (No. 1)
Unique sites:
Ca 0.0000 0.0000 0.0000 x1  4 O 2.32-2.39
Ca 0.0215 0.1090 0.4991 x1  4 O 2.34-2.40
Ca 0.5192 0.4969 0.0001 x1  4 O 2.33-2.41
La 0.4996 0.6050 0.5003 x1  6 O 2.39-2.63
Mn 0.0084 0.5531 0.2428 x1  6 O 2.06-2.15
Mn 0.5117 0.0551 0.7557 x1  6 O 2.07-2.17
Ir 0.0095 0.5527 0.7538 x1  6 O 1.97-2.02
Ir 0.5103 0.0536 0.2460 x1  6 O 1.96-2.01
O 0.1088 0.5927 0.9925 x1  1 Ir 1.97, 1 Mn 2.06
O 0.1995 0.8407 0.6948 x1  1 Ir 2.00, 1 Mn 2.17
O 0.2199 0.8596 0.3026 x1  1 Ir 2.00, 1 Mn 2.15
O 0.3040 0.3577 0.7051 x1  1 Ir 2.01, 1 Mn 2.11
O 0.3205 0.3443 0.2961 x1  1 Ir 2.00, 1 Mn 2.14
O 0.4097 0.0869 0.0076 x1  1 Ir 1.96, 1 Mn 2.07
O 0.6071 0.0295 0.4922 x1  1 Ir 2.01, 1 Mn 2.14
O 0.6913 0.7558 0.2010 x1  1 Ir 2.00, 1 Mn 2.12
O 0.7100 0.7405 0.7953 x1  1 Ir 2.00, 1 Mn 2.12
O 0.8046 0.2426 0.2001 x1  1 Ir 1.98, 1 Mn 2.12
O 0.8266 0.2606 0.8012 x1  1 Ir 1.98, 1 Mn 2.13
O 0.9241 0.5206 0.5055 x1  1 Ir 2.02, 1 Mn 2.12

***

Entry 12:
Entry from the Materials Project database: Ca3Mn2Ir2O12 after structural relaxation (PBE with a Hubbard U).

Cell lengths 5.3709, 5.5062, 7.7082 Å; angles 90.06, 90.07, 91.00 degrees
Closest atoms and distances in Å follow each position.
Space group P1 (No. 1)
Unique sites:
Ca 0.0000 0.0000 0.0000 x1  6 O 2.32-2.57
Ca 0.0214 0.8958 0.4986 x1  8 O 2.34-2.56
Ca 0.4948 0.3927 0.5000 x1  6 O 2.31-2.55
Mn 0.0088 0.4474 0.2417 x1  6 O 1.97-2.08
Mn 0.5133 0.9374 0.7561 x1  6 O 1.98-2.08
Ir 0.0095 0.4480 0.7559 x1  6 O 1.90-2.00
Ir 0.5133 0.9417 0.2427 x1  6 O 1.91-2.00
O 0.1040 0.4303 0.9936 x1  1 Ir 1.90, 1 Mn 1.98
O 0.2091 0.1563 0.7054 x1  1 Ir 1.98, 1 Mn 2.08
O 0.2196 0.1458 0.2922 x1  1 Ir 1.99, 1 Mn 2.06
O 0.2976 0.6562 0.6934 x1  1 Ir 1.97, 1 Mn 1.98
O 0.3053 0.6584 0.3036 x1  1 Ir 1.96, 1 Mn 2.01
O 0.4215 0.9147 0.0038 x1  1 Ir 1.91, 1 Mn 1.98
O 0.5950 0.9716 0.4945 x1  1 Ir 2.00, 1 Mn 2.07
O 0.7131 0.2371 0.2025 x1  1 Ir 1.96, 1 Mn 1.97
O 0.7209 0.2415 0.7964 x1  1 Ir 1.93, 1 Mn 2.02
O 0.8173 0.7585 0.2140 x1  1 Ir 1.95, 1 Mn 2.02
O 0.8285 0.7512 0.7845 x1  1 Ir 1.96, 1 Mn 2.01
O 0.9207 0.4637 0.5041 x1  1 Ir 2.00, 1 Mn 2.08

***

no.,uncorrected energy (eV per atom),corrected total energy (MP2020 scheme) (eV per atom),energy of formation (eV/atom)
1,-7.335,-7.9481,-2.728
2,-6.627,-7.0715,-2.354
3,-7.239,-7.9853,-2.654
4,-7.327,-8.0733,-2.699
5,-7.502,-8.2477,-2.788
6,-7.519,-8.5714,-2.775
7,-7.815,-8.5672,-3.123
8,-6.357,-7.2133,-2.362
9,-6.351,-7.2066,-2.334
10,-6.558,-7.1401,-2.618
11,-7.165,-7.7437,-2.427
12,-6.794,-7.4033,-2.067